The following is a DFT calculation (GGA-PBE) of a relaxed structure of K2SbH5O6.

Properties
* DFT formation energy: -1640 meV/atom
* total energy after the MP2020 corrections: -5.426 eV per atom
* space group: No. 2

abc: 5.3786 6.6846 9.2445
angles: 83.87 75.99 84.66
Fractional coordinates of all 28 atoms:
K (0.7721, 0.1956, 0.9324)
K (0.2279, 0.8044, 0.0676)
K (0.6726, 0.7268, 0.4245)
K (0.3274, 0.2732, 0.5755)
Sb (0.9586, 0.7351, 0.7266)
Sb (0.0414, 0.2649, 0.2734)
H (0.3537, 0.9243, 0.7356)
H (0.6463, 0.0757, 0.2643)
H (0.7915, 0.4409, 0.6233)
H (0.2085, 0.5591, 0.3767)
H (0.3654, 0.5378, 0.7857)
H (0.6346, 0.4622, 0.2143)
H (0.7900, 0.6569, 0.0062)
H (0.2100, 0.3431, 0.9938)
H (0.7849, 0.0640, 0.5927)
H (0.2151, 0.9360, 0.4073)
O (0.1560, 0.7123, 0.5226)
O (0.8440, 0.2877, 0.4774)
O (0.7348, 0.7620, 0.9344)
O (0.2652, 0.2380, 0.0656)
O (0.1653, 0.9515, 0.7724)
O (0.8347, 0.0485, 0.2276)
O (0.7208, 0.5172, 0.7144)
O (0.2792, 0.4828, 0.2856)
O (0.7023, 0.9557, 0.6694)
O (0.2977, 0.0443, 0.3306)
O (0.1796, 0.5156, 0.8238)
O (0.8204, 0.4844, 0.1762)